DFT (PBE with a Hubbard U) results for crystalline SrNdMnSnO6 at its relaxed geometry.

Structure (CIF):
```
data_SrNdMnSnO6
_chemical_formula_sum 'Sr4 Nd4 Mn4 Sn4 O24'
_cell_length_a 8.051
_cell_length_b 8.051
_cell_length_c 8.051
_cell_angle_alpha 90.00
_cell_angle_beta 90.00
_cell_angle_gamma 90.00
_space_group_name_H-M_alt 'F -4 3 m'
_space_group_IT_number 216
_space_group_name_Hall 'F -4 2 3'
loop_
_atom_site_label
_atom_site_type_symbol
_atom_site_fract_x
_atom_site_fract_y
_atom_site_fract_z
Sr1 Sr 0.000 0.000 0.000
Nd1 Nd 0.000 0.000 0.500
Mn1 Mn 0.250 0.250 0.750
Sn1 Sn 0.250 0.250 0.250
O1 O 0.003 0.250 0.750
```

Crystal system: cubic
Electronic total energy in eV per cell: -279.427

DFT (PBE with a Hubbard U) results for crystalline LiY5Mo2O12 at its relaxed geometry.

Structure (CIF):
```
data_LiY5Mo2O12
_chemical_formula_sum 'Li1 Y5 Mo2 O12'
_cell_length_a 5.927
_cell_length_b 7.060
_cell_length_c 7.385
_cell_angle_alpha 105.51
_cell_angle_beta 90.31
_cell_angle_gamma 114.77
_space_group_name_H-M_alt 'P 1'
_space_group_IT_number 1
loop_
_space_group_symop_operation_xyz
'x,y,z'
loop_
_atom_site_label
_atom_site_type_symbol
_atom_site_fract_x
_atom_site_fract_y
_atom_site_fract_z
Li1 Li 0.000 0.000 0.000
Y1 Y 0.149 0.302 0.798
Y2 Y 0.438 0.875 0.942
Y3 Y 0.447 0.896 0.477
Y4 Y 0.828 0.653 0.137
Y5 Y 0.834 0.671 0.653
Mo1 Mo 0.392 0.284 0.302
Mo2 Mo 0.905 0.284 0.304
O1 O 0.041 0.582 0.870
O2 O 0.049 0.614 0.389
O3 O 0.144 0.276 0.492
O4 O 0.161 0.298 0.105
O5 O 0.224 0.940 0.198
O6 O 0.231 0.967 0.738
O7 O 0.546 0.585 0.872
O8 O 0.580 0.630 0.391
O9 O 0.636 0.269 0.493
O10 O 0.647 0.282 0.114
O11 O 0.737 0.953 0.193
O12 O 0.751 0.975 0.747
```

Crystal system: triclinic
Distance to the lowest polymorph of the same formula in kcal/mol of atoms: 0.83

DFT (PBE with a Hubbard U) results for crystalline Li2FeF4 at its relaxed geometry.

Structure (CIF):
```
data_Li2FeF4
_chemical_formula_sum 'Li4 Fe2 F8'
_cell_length_a 5.847
_cell_length_b 4.872
_cell_length_c 5.784
_cell_angle_alpha 90.00
_cell_angle_beta 107.23
_cell_angle_gamma 90.00
_space_group_name_H-M_alt 'P 1 21/c 1'
_space_group_IT_number 14
loop_
_space_group_symop_operation_xyz
'x,y,z'
'-x,-y,-z'
'-x,y+1/2,-z+1/2'
'x,-y+1/2,z+1/2'
loop_
_atom_site_label
_atom_site_type_symbol
_atom_site_fract_x
_atom_site_fract_y
_atom_site_fract_z
Li1 Li 0.064 0.230 0.399
Fe1 Fe 0.500 0.000 0.500
F1 F 0.147 0.679 0.906
F2 F 0.341 0.243 0.207
```

Crystal system: monoclinic
Distance to the lowest polymorph of the same formula in kcal/mol of atoms: 1.24

DFT (PBE with a Hubbard U) results for crystalline Er10W2O21 at its relaxed geometry.

Structure (CIF):
```
data_Er10W2O21
_chemical_formula_sum 'Er40 W8 O84'
_cell_length_a 15.907
_cell_length_b 10.521
_cell_length_c 10.604
_cell_angle_alpha 90.00
_cell_angle_beta 90.00
_cell_angle_gamma 90.00
_space_group_name_H-M_alt 'P b c n'
_space_group_IT_number 60
loop_
_space_group_symop_operation_xyz
'x,y,z'
'-x,-y,-z'
'-x+1/2,-y+1/2,z+1/2'
'x+1/2,y+1/2,-z+1/2'
'x+1/2,-y+1/2,-z'
'-x+1/2,y+1/2,z'
'-x,y,-z+1/2'
'x,-y,z+1/2'
loop_
_atom_site_label
_atom_site_type_symbol
_atom_site_fract_x
_atom_site_fract_y
_atom_site_fract_z
Er1 Er 0.081 0.011 0.135
Er2 Er 0.090 0.479 0.610
Er3 Er 0.099 0.250 0.842
Er4 Er 0.228 0.248 0.126
Er5 Er 0.243 0.486 0.358
W1 W 0.086 0.252 0.377
O1 O 0.000 0.113 0.750
O2 O 0.000 0.188 0.250
O3 O 0.000 0.381 0.750
O4 O 0.012 0.377 0.445
O5 O 0.042 0.121 0.479
O6 O 0.134 0.371 0.250
O7 O 0.158 0.115 0.993
O8 O 0.158 0.129 0.285
O9 O 0.171 0.393 0.990
O10 O 0.172 0.313 0.484
O11 O 0.178 0.120 0.714
O12 O 0.179 0.378 0.729
```

Crystal system: orthorhombic
Electronic total energy in eV per cell: -1092.491

DFT (PBE with a Hubbard U) results for crystalline UMoO6 at its relaxed geometry.

Structure (CIF):
```
data_UMoO6
_chemical_formula_sum 'U4 Mo4 O24'
_cell_length_a 7.285
_cell_length_b 5.569
_cell_length_c 13.749
_cell_angle_alpha 90.00
_cell_angle_beta 104.53
_cell_angle_gamma 90.00
_space_group_name_H-M_alt 'P 1 21/c 1'
_space_group_IT_number 14
loop_
_space_group_symop_operation_xyz
'x,y,z'
'-x,-y,-z'
'-x,y+1/2,-z+1/2'
'x,-y+1/2,z+1/2'
loop_
_atom_site_label
_atom_site_type_symbol
_atom_site_fract_x
_atom_site_fract_y
_atom_site_fract_z
U1 U 0.166 0.178 0.352
Mo1 Mo 0.291 0.586 0.605
O1 O 0.076 0.047 0.781
O2 O 0.131 0.669 0.108
O3 O 0.200 0.114 0.001
O4 O 0.242 0.605 0.914
O5 O 0.304 0.076 0.219
O6 O 0.475 0.187 0.894
```

Crystal system: monoclinic
Electronic total energy in eV per cell: -266.567

DFT (PBE with a Hubbard U) results for crystalline Li3VB2O6 at its relaxed geometry.

Structure (CIF):
```
data_Li3VB2O6
_chemical_formula_sum 'Li12 V4 B8 O24'
_cell_length_a 5.203
_cell_length_b 8.886
_cell_length_c 11.172
_cell_angle_alpha 90.00
_cell_angle_beta 116.81
_cell_angle_gamma 90.00
_space_group_name_H-M_alt 'P 1 21/c 1'
_space_group_IT_number 14
loop_
_space_group_symop_operation_xyz
'x,y,z'
'-x,-y,-z'
'-x,y+1/2,-z+1/2'
'x,-y+1/2,z+1/2'
loop_
_atom_site_label
_atom_site_type_symbol
_atom_site_fract_x
_atom_site_fract_y
_atom_site_fract_z
Li1 Li 0.015 0.026 0.170
Li2 Li 0.048 0.659 0.879
Li3 Li 0.425 0.015 0.602
V1 V 0.475 0.675 0.621
B1 B 0.045 0.177 0.379
B2 B 0.467 0.165 0.131
O1 O 0.121 0.182 0.847
O2 O 0.190 0.667 0.094
O3 O 0.202 0.052 0.382
O4 O 0.323 0.671 0.414
O5 O 0.355 0.025 0.142
O6 O 0.367 0.207 0.668
```

Crystal system: monoclinic
Distance to the lowest polymorph of the same formula in kcal/mol of atoms: 0.00

DFT (PBE with a Hubbard U) results for crystalline Ca2Mn3O8 at its relaxed geometry.

Structure (CIF):
```
data_Ca2Mn3O8
_chemical_formula_sum 'Ca4 Mn6 O16'
_cell_length_a 5.9828
_cell_length_b 5.9828
_cell_length_c 10.5422
_cell_angle_alpha 90.00
_cell_angle_beta 90.00
_cell_angle_gamma 120.00
_space_group_name_H-M_alt 'P 63 m c'
_space_group_IT_number 186
_space_group_name_Hall 'P 6c -2c'
loop_
_atom_site_label
_atom_site_type_symbol
_atom_site_fract_x
_atom_site_fract_y
_atom_site_fract_z
Ca1 Ca 0.3333 0.6667 0.0000
Ca2 Ca 0.3333 0.6667 0.4040
Mn1 Mn 0.1644 0.3288 0.7192
O1 O 0.0000 0.0000 0.3148
O2 O 0.0442 0.5221 0.8209
O3 O 0.1544 0.3088 0.1285
O4 O 0.3333 0.6667 0.6224
```

Crystal system: hexagonal
Distance to the lowest polymorph of the same formula in kcal/mol of atoms: 2.42

DFT (PBE with a Hubbard U) results for crystalline RbH3WO7 at its relaxed geometry.

Structure (CIF):
```
data_RbH3WO7
_chemical_formula_sum 'Rb4 H12 W4 O28'
_cell_length_a 6.542
_cell_length_b 8.285
_cell_length_c 12.673
_cell_angle_alpha 106.69
_cell_angle_beta 92.93
_cell_angle_gamma 104.70
_space_group_name_H-M_alt 'P -1'
_space_group_IT_number 2
loop_
_space_group_symop_operation_xyz
'x,y,z'
'-x,-y,-z'
loop_
_atom_site_label
_atom_site_type_symbol
_atom_site_fract_x
_atom_site_fract_y
_atom_site_fract_z
Rb1 Rb 0.099 0.262 0.039
Rb2 Rb 0.216 0.243 0.361
H1 H 0.165 0.023 0.566
H2 H 0.219 0.250 0.772
H3 H 0.327 0.509 0.687
H4 H 0.362 0.691 0.775
H5 H 0.397 0.425 0.833
H6 H 0.398 0.007 0.582
W1 W 0.184 0.707 0.375
W2 W 0.439 0.875 0.158
O1 O 0.042 0.173 0.654
O2 O 0.113 0.513 0.262
O3 O 0.114 0.300 0.590
O4 O 0.216 0.602 0.496
O5 O 0.238 0.636 0.088
O6 O 0.265 0.006 0.151
O7 O 0.266 0.964 0.527
O8 O 0.286 0.941 0.769
O9 O 0.305 0.997 0.894
O10 O 0.335 0.305 0.837
O11 O 0.356 0.707 0.006
O12 O 0.389 0.858 0.310
O13 O 0.426 0.674 0.459
O14 O 0.427 0.595 0.752
```

Crystal system: triclinic
Electronic total energy in eV per cell: -270.015

DFT (PBE with a Hubbard U) results for crystalline Li3MnFe2B3O9 at its relaxed geometry.

Structure (CIF):
```
data_Li3MnFe2B3O9
_chemical_formula_sum 'Li6 Mn2 Fe4 B6 O18'
_cell_length_a 8.252
_cell_length_b 3.145
_cell_length_c 14.318
_cell_angle_alpha 90.00
_cell_angle_beta 90.02
_cell_angle_gamma 90.00
_space_group_name_H-M_alt 'P 1 m 1'
_space_group_IT_number 6
loop_
_space_group_symop_operation_xyz
'x,y,z'
'x,-y,z'
loop_
_atom_site_label
_atom_site_type_symbol
_atom_site_fract_x
_atom_site_fract_y
_atom_site_fract_z
Li1 Li 0.000 0.000 0.000
Li2 Li 0.026 0.000 0.705
Li3 Li 0.074 0.000 0.339
Li4 Li 0.502 0.000 0.498
Li5 Li 0.527 0.000 0.206
Li6 Li 0.573 0.000 0.841
Mn1 Mn 0.232 0.500 0.854
Mn2 Mn 0.693 0.500 0.662
Fe1 Fe 0.179 0.500 0.527
Fe2 Fe 0.191 0.500 0.165
Fe3 Fe 0.680 0.500 0.028
Fe4 Fe 0.731 0.500 0.352
B1 B 0.366 0.000 0.680
B2 B 0.368 0.000 0.017
B3 B 0.368 0.500 0.348
B4 B 0.865 0.500 0.848
B5 B 0.867 0.000 0.182
B6 B 0.869 0.000 0.513
O1 O 0.002 0.500 0.792
O2 O 0.019 0.000 0.139
O3 O 0.023 0.000 0.474
O4 O 0.216 0.500 0.305
O5 O 0.225 0.000 0.626
O6 O 0.230 0.000 0.960
O7 O 0.350 0.000 0.113
O8 O 0.356 0.000 0.777
O9 O 0.380 0.500 0.445
O10 O 0.507 0.500 0.293
O11 O 0.516 0.000 0.637
O12 O 0.521 0.000 0.976
O13 O 0.711 0.500 0.809
O14 O 0.728 0.000 0.127
O15 O 0.732 0.000 0.457
O16 O 0.853 0.000 0.610
O17 O 0.855 0.000 0.278
O18 O 0.881 0.500 0.946
```

Crystal system: monoclinic
Distance to the lowest polymorph of the same formula in kcal/mol of atoms: 0.03